## Re2P2O11 (GGA-PBE)

Data for an optimized crystal structure of Re2P2O11.

Values from the calculation:
**ΔE_f**: -34.59 eV/f.u.
**Calculated total energy**: -468.685 eV for the cell shown
**Crystal system**: orthorhombic

Cell: 6.400 7.925 15.493 Å, 90.00 90.00 90.00°
Atoms (fractional coordinates):
Re (0.250, 0.258, 0.470)
Re (0.750, 0.052, 0.214)
Re (0.250, 0.242, 0.970)
Re (0.750, 0.758, 0.030)
Re (0.250, 0.948, 0.786)
Re (0.250, 0.552, 0.286)
Re (0.750, 0.448, 0.714)
Re (0.750, 0.742, 0.530)
P (0.750, 0.877, 0.739)
P (0.750, 0.141, 0.433)
P (0.250, 0.377, 0.761)
P (0.750, 0.359, 0.933)
P (0.750, 0.623, 0.239)
P (0.250, 0.641, 0.067)
P (0.250, 0.123, 0.261)
P (0.250, 0.859, 0.567)
O (0.750, 0.542, 0.965)
O (0.750, 0.934, 0.109)
O (0.250, 0.385, 0.559)
O (0.250, 0.434, 0.391)
O (0.750, 0.958, 0.465)
O (0.939, 0.240, 0.468)
O (0.939, 0.260, 0.968)
O (0.250, 0.861, 0.666)
O (0.750, 0.885, 0.941)
O (0.250, 0.392, 0.861)
O (0.559, 0.528, 0.278)
O (0.750, 0.691, 0.768)
O (0.750, 0.253, 0.667)
O (0.250, 0.309, 0.232)
O (0.059, 0.472, 0.722)
O (0.941, 0.972, 0.778)
O (0.061, 0.760, 0.532)
O (0.750, 0.361, 0.834)
O (0.750, 0.615, 0.441)
O (0.441, 0.028, 0.222)
O (0.441, 0.472, 0.722)
O (0.059, 0.028, 0.222)
O (0.250, 0.115, 0.059)
O (0.750, 0.809, 0.268)
O (0.250, 0.747, 0.333)
O (0.561, 0.260, 0.968)
O (0.750, 0.892, 0.639)
O (0.250, 0.042, 0.535)
O (0.941, 0.528, 0.278)
O (0.750, 0.608, 0.139)
O (0.439, 0.740, 0.032)
O (0.250, 0.639, 0.166)
O (0.250, 0.108, 0.361)
O (0.061, 0.740, 0.032)
O (0.750, 0.139, 0.334)
O (0.250, 0.458, 0.035)
O (0.250, 0.066, 0.891)
O (0.250, 0.753, 0.833)
O (0.561, 0.240, 0.468)
O (0.750, 0.566, 0.609)
O (0.750, 0.247, 0.167)
O (0.439, 0.760, 0.532)
O (0.250, 0.191, 0.732)
O (0.559, 0.972, 0.778)

---

## RePO6 (GGA-PBE)

Data for an optimized crystal structure of RePO6.

Values from the calculation:
**ΔE_f**: -18.16 eV/f.u.
**Calculated total energy**: -739.059 eV for the cell shown
**Crystal system**: monoclinic

Cell: 8.518 8.518 21.116 Å, 87.97 87.97 61.03°
Atoms (fractional coordinates):
Re (0.362, 0.325, 0.779)
Re (0.675, 0.638, 0.721)
Re (0.638, 0.675, 0.221)
Re (0.325, 0.362, 0.279)
Re (0.665, 0.672, 0.461)
Re (0.328, 0.335, 0.039)
Re (0.335, 0.328, 0.539)
Re (0.672, 0.665, 0.961)
Re (0.002, 0.005, 0.131)
Re (0.995, 0.998, 0.369)
Re (0.998, 0.995, 0.869)
Re (0.005, 0.002, 0.631)
P (0.936, 0.643, 0.830)
P (0.357, 0.064, 0.670)
P (0.064, 0.357, 0.170)
P (0.643, 0.936, 0.330)
P (0.641, 0.420, 0.351)
P (0.580, 0.359, 0.149)
P (0.359, 0.580, 0.649)
P (0.420, 0.641, 0.851)
P (0.235, 0.026, 0.487)
P (0.974, 0.765, 0.013)
P (0.765, 0.974, 0.513)
P (0.026, 0.235, 0.987)
O (0.435, 0.410, 0.605)
O (0.590, 0.565, 0.895)
O (0.565, 0.590, 0.395)
O (0.410, 0.435, 0.105)
O (0.105, 0.059, 0.543)
O (0.941, 0.895, 0.957)
O (0.895, 0.941, 0.457)
O (0.059, 0.105, 0.043)
O (0.865, 0.942, 0.577)
O (0.058, 0.135, 0.923)
O (0.135, 0.058, 0.423)
O (0.942, 0.865, 0.077)
O (0.277, 0.237, 0.711)
O (0.763, 0.723, 0.789)
O (0.723, 0.763, 0.289)
O (0.237, 0.277, 0.211)
O (0.204, 0.013, 0.669)
O (0.987, 0.796, 0.831)
O (0.796, 0.987, 0.331)
O (0.013, 0.204, 0.169)
O (0.386, 0.477, 0.841)
O (0.523, 0.614, 0.659)
O (0.614, 0.523, 0.159)
O (0.477, 0.386, 0.341)
O (0.295, 0.173, 0.483)
O (0.827, 0.705, 0.017)
O (0.705, 0.827, 0.517)
O (0.173, 0.295, 0.983)
O (0.604, 0.163, 0.512)
O (0.837, 0.396, 0.988)
O (0.396, 0.837, 0.488)
O (0.163, 0.604, 0.012)
O (0.087, 0.480, 0.798)
O (0.520, 0.913, 0.702)
O (0.913, 0.520, 0.202)
O (0.480, 0.087, 0.298)
O (0.214, 0.738, 0.611)
O (0.262, 0.786, 0.889)
O (0.786, 0.262, 0.389)
O (0.738, 0.214, 0.111)
O (0.293, 0.543, 0.713)
O (0.457, 0.707, 0.787)
O (0.707, 0.457, 0.287)
O (0.543, 0.293, 0.213)
O (0.945, 0.925, 0.698)
O (0.075, 0.055, 0.802)
O (0.055, 0.075, 0.302)
O (0.925, 0.945, 0.198)
O (0.896, 0.594, 0.896)
O (0.406, 0.104, 0.604)
O (0.104, 0.406, 0.104)
O (0.594, 0.896, 0.396)
O (0.859, 0.228, 0.634)
O (0.772, 0.141, 0.866)
O (0.141, 0.772, 0.366)
O (0.228, 0.859, 0.134)
O (0.684, 0.516, 0.517)
O (0.484, 0.316, 0.983)
O (0.316, 0.484, 0.483)
O (0.516, 0.684, 0.017)
O (0.578, 0.230, 0.750)
O (0.770, 0.422, 0.750)
O (0.422, 0.770, 0.250)
O (0.230, 0.578, 0.250)
O (0.121, 0.426, 0.571)
O (0.574, 0.879, 0.929)
O (0.879, 0.574, 0.429)
O (0.426, 0.121, 0.071)
O (0.378, 0.164, 0.834)
O (0.836, 0.622, 0.666)
O (0.622, 0.836, 0.166)
O (0.164, 0.378, 0.334)

---

## ReSi2P3O15 (GGA-PBE)

Data for an optimized crystal structure of ReSi2P3O15.

Values from the calculation:
**ΔE_f**: -55.95 eV/f.u.
**Calculated total energy**: -318.794 eV for the cell shown
**Crystal system**: triclinic

Cell: 7.973 7.985 11.001 Å, 106.96 85.14 119.93°
Atoms (fractional coordinates):
Re (0.770, 0.470, 0.576)
Re (0.230, 0.530, 0.424)
Si (0.162, 0.322, 0.974)
Si (0.838, 0.678, 0.026)
Si (0.482, 0.930, 0.848)
Si (0.518, 0.070, 0.152)
P (0.834, 0.316, 0.826)
P (0.166, 0.684, 0.174)
P (0.521, 0.567, 0.827)
P (0.479, 0.433, 0.173)
P (0.084, 0.878, 0.827)
P (0.916, 0.122, 0.173)
O (0.000, 0.500, 0.500)
O (0.500, 0.000, 0.000)
O (0.860, 0.372, 0.703)
O (0.140, 0.628, 0.297)
O (0.299, 0.932, 0.794)
O (0.701, 0.068, 0.206)
O (0.955, 0.752, 0.705)
O (0.045, 0.248, 0.295)
O (0.696, 0.712, 0.925)
O (0.304, 0.288, 0.075)
O (0.037, 0.763, 0.928)
O (0.963, 0.237, 0.072)
O (0.026, 0.355, 0.875)
O (0.974, 0.645, 0.125)
O (0.449, 0.701, 0.793)
O (0.551, 0.299, 0.207)
O (0.718, 0.595, 0.495)
O (0.282, 0.405, 0.505)
O (0.573, 0.462, 0.701)
O (0.427, 0.538, 0.299)
O (0.744, 0.422, 0.928)
O (0.256, 0.578, 0.072)
O (0.358, 0.403, 0.876)
O (0.642, 0.597, 0.124)
O (0.076, 0.073, 0.877)
O (0.924, 0.927, 0.123)
O (0.621, 0.224, 0.489)
O (0.379, 0.776, 0.511)
O (0.681, 0.082, 0.794)
O (0.319, 0.918, 0.206)

---

## P3RhO9 (GGA-PBE)

Data for an optimized crystal structure of P3RhO9.

Values from the calculation:
**ΔE_f**: -29.64 eV/f.u.
**Calculated total energy**: -549.542 eV for the cell shown
**Crystal system**: monoclinic

Cell: 11.740 11.740 9.498 Å, 70.09 70.09 111.23°
Atoms (fractional coordinates):
P (0.314, 0.687, 0.253)
P (0.687, 0.314, 0.753)
P (0.415, 0.351, 0.183)
P (0.351, 0.415, 0.683)
P (0.039, 0.764, 0.656)
P (0.764, 0.039, 0.156)
P (0.701, 0.094, 0.657)
P (0.094, 0.701, 0.157)
P (0.259, 0.987, 0.808)
P (0.987, 0.259, 0.308)
P (0.005, 0.968, 0.771)
P (0.968, 0.005, 0.271)
P (0.378, 0.670, 0.715)
P (0.670, 0.378, 0.215)
P (0.929, 0.322, 0.804)
P (0.322, 0.929, 0.304)
P (0.580, 0.632, 0.838)
P (0.632, 0.580, 0.338)
Rh (0.025, 0.515, 0.971)
Rh (0.515, 0.025, 0.471)
Rh (0.660, 0.836, 0.004)
Rh (0.836, 0.660, 0.504)
Rh (0.331, 0.170, 0.000)
Rh (0.170, 0.331, 0.500)
O (0.238, 0.593, 0.886)
O (0.593, 0.238, 0.386)
O (0.451, 0.032, 0.294)
O (0.032, 0.451, 0.794)
O (0.999, 0.584, 0.144)
O (0.584, 0.999, 0.644)
O (0.082, 0.708, 0.784)
O (0.708, 0.082, 0.284)
O (0.281, 0.549, 0.391)
O (0.549, 0.281, 0.891)
O (0.960, 0.105, 0.349)
O (0.105, 0.960, 0.849)
O (0.989, 0.326, 0.141)
O (0.326, 0.989, 0.641)
O (0.844, 0.218, 0.469)
O (0.218, 0.844, 0.969)
O (0.179, 0.887, 0.465)
O (0.887, 0.179, 0.965)
O (0.186, 0.650, 0.219)
O (0.650, 0.186, 0.719)
O (0.986, 0.319, 0.637)
O (0.319, 0.986, 0.137)
O (0.983, 0.859, 0.702)
O (0.859, 0.983, 0.202)
O (0.694, 0.498, 0.265)
O (0.498, 0.694, 0.765)
O (0.346, 0.355, 0.855)
O (0.355, 0.346, 0.355)
O (0.491, 0.448, 0.526)
O (0.448, 0.491, 0.026)
O (0.573, 0.382, 0.130)
O (0.382, 0.573, 0.630)
O (0.219, 0.321, 0.689)
O (0.321, 0.219, 0.189)
O (0.071, 0.112, 0.613)
O (0.112, 0.071, 0.113)
O (0.344, 0.118, 0.810)
O (0.118, 0.344, 0.310)
O (0.776, 0.303, 0.849)
O (0.303, 0.776, 0.349)
O (0.865, 0.901, 0.939)
O (0.901, 0.865, 0.439)
O (0.778, 0.452, 0.574)
O (0.452, 0.778, 0.074)
O (0.677, 0.740, 0.860)
O (0.740, 0.677, 0.360)
O (0.931, 0.652, 0.648)
O (0.652, 0.931, 0.148)
O (0.649, 0.584, 0.726)
O (0.584, 0.649, 0.226)
O (0.743, 0.021, 0.776)
O (0.021, 0.743, 0.276)
O (0.430, 0.810, 0.560)
O (0.810, 0.430, 0.060)

---

## PRhO10 (GGA-PBE)

Data for an optimized crystal structure of PRhO10.

Values from the calculation:
**ΔE_f**: -4.46 eV/f.u.
**Calculated total energy**: -239.390 eV for the cell shown
**Crystal system**: monoclinic

Cell: 6.141 6.141 24.719 Å, 80.48 80.48 65.95°
Atoms (fractional coordinates):
P (0.809, 0.930, 0.380)
P (0.070, 0.191, 0.120)
P (0.191, 0.070, 0.620)
P (0.930, 0.809, 0.880)
Rh (0.443, 0.557, 0.250)
Rh (0.557, 0.443, 0.750)
Rh (0.500, 0.500, 0.500)
Rh (0.500, 0.500, 0.000)
O (0.390, 0.851, 0.278)
O (0.149, 0.610, 0.222)
O (0.610, 0.149, 0.722)
O (0.851, 0.390, 0.778)
O (0.740, 0.504, 0.277)
O (0.496, 0.260, 0.223)
O (0.260, 0.496, 0.723)
O (0.504, 0.740, 0.777)
O (0.289, 0.400, 0.308)
O (0.600, 0.711, 0.192)
O (0.711, 0.600, 0.692)
O (0.400, 0.289, 0.808)
O (0.592, 0.364, 0.573)
O (0.636, 0.408, 0.927)
O (0.408, 0.636, 0.427)
O (0.364, 0.592, 0.073)
O (0.812, 0.389, 0.458)
O (0.611, 0.188, 0.042)
O (0.188, 0.611, 0.542)
O (0.389, 0.812, 0.958)
O (0.354, 0.301, 0.482)
O (0.699, 0.646, 0.018)
O (0.646, 0.699, 0.518)
O (0.301, 0.354, 0.982)
O (0.851, 0.672, 0.371)
O (0.328, 0.149, 0.129)
O (0.149, 0.328, 0.629)
O (0.672, 0.851, 0.871)
O (0.919, 0.935, 0.431)
O (0.065, 0.081, 0.069)
O (0.081, 0.065, 0.569)
O (0.935, 0.919, 0.931)
O (0.534, 0.067, 0.388)
O (0.933, 0.466, 0.112)
O (0.466, 0.933, 0.612)
O (0.067, 0.534, 0.888)
O (0.927, 0.038, 0.329)
O (0.962, 0.073, 0.171)
O (0.073, 0.962, 0.671)
O (0.038, 0.927, 0.829)

---

## Si2P3RhO13 (GGA-PBE)

Data for an optimized crystal structure of Si2P3RhO13.

Values from the calculation:
**ΔE_f**: -49.59 eV/f.u.
**Calculated total energy**: -278.881 eV for the cell shown
**Crystal system**: trigonal

Cell: 8.221 8.221 8.842 Å, 90.00 90.00 120.00°
Atoms (fractional coordinates):
Si (0.333, 0.667, 0.503)
Si (0.667, 0.333, 0.497)
Si (0.333, 0.667, 0.868)
Si (0.667, 0.333, 0.132)
P (0.283, 0.000, 0.500)
P (0.717, 0.717, 0.500)
P (0.000, 0.283, 0.500)
P (0.286, 0.286, 0.000)
P (0.000, 0.714, 0.000)
P (0.714, 0.000, 0.000)
Rh (0.000, 0.000, 0.752)
Rh (0.000, 0.000, 0.248)
O (0.328, 0.848, 0.431)
O (0.520, 0.672, 0.431)
O (0.152, 0.480, 0.431)
O (0.331, 0.480, 0.930)
O (0.149, 0.669, 0.930)
O (0.520, 0.851, 0.930)
O (0.669, 0.149, 0.070)
O (0.480, 0.331, 0.070)
O (0.851, 0.520, 0.070)
O (0.672, 0.520, 0.569)
O (0.848, 0.328, 0.569)
O (0.480, 0.152, 0.569)
O (0.142, 0.902, 0.626)
O (0.759, 0.858, 0.626)
O (0.098, 0.241, 0.626)
O (0.142, 0.242, 0.124)
O (0.100, 0.858, 0.124)
O (0.758, 0.900, 0.124)
O (0.858, 0.100, 0.876)
O (0.242, 0.142, 0.876)
O (0.900, 0.758, 0.876)
O (0.858, 0.759, 0.374)
O (0.902, 0.142, 0.374)
O (0.241, 0.098, 0.374)
O (0.333, 0.667, 0.685)
O (0.667, 0.333, 0.315)